Ca5VN5: optimized geometry, GGA-PBE.

abc: 6.0419 16.6547 6.8093
angles: 90.00 90.00 90.00
Atoms (fractional coordinates):
Ca (0.0138, 0.2370, 0.2500)
Ca (0.0138, 0.2630, 0.7500)
Ca (0.2098, 0.0746, 0.0076)
Ca (0.2098, 0.0746, 0.4924)
Ca (0.2098, 0.4254, 0.5076)
Ca (0.2098, 0.4254, 0.9924)
Ca (0.3103, 0.5820, 0.2500)
Ca (0.3103, 0.9180, 0.7500)
Ca (0.4531, 0.7500, 0.0000)
Ca (0.4531, 0.7500, 0.5000)
Ca (0.5469, 0.2500, 0.0000)
Ca (0.5469, 0.2500, 0.5000)
Ca (0.6897, 0.0820, 0.2500)
Ca (0.6897, 0.4180, 0.7500)
Ca (0.7902, 0.5746, 0.0076)
Ca (0.7902, 0.5746, 0.4924)
Ca (0.7902, 0.9254, 0.5076)
Ca (0.7902, 0.9254, 0.9924)
Ca (0.9862, 0.7370, 0.2500)
Ca (0.9862, 0.7630, 0.7500)
V (0.2120, 0.5932, 0.7500)
V (0.2120, 0.9068, 0.2500)
V (0.7880, 0.0932, 0.7500)
V (0.7880, 0.4068, 0.2500)
N (0.0172, 0.5100, 0.7500)
N (0.0172, 0.9900, 0.2500)
N (0.1390, 0.6547, 0.5310)
N (0.1390, 0.6547, 0.9690)
N (0.1390, 0.8453, 0.0310)
N (0.1390, 0.8453, 0.4690)
N (0.3661, 0.1749, 0.2500)
N (0.3661, 0.3251, 0.7500)
N (0.4926, 0.5521, 0.7500)
N (0.4926, 0.9479, 0.2500)
N (0.5074, 0.0521, 0.7500)
N (0.5074, 0.4479, 0.2500)
N (0.6339, 0.6749, 0.2500)
N (0.6339, 0.8251, 0.7500)
N (0.8610, 0.1547, 0.5310)
N (0.8610, 0.1547, 0.9690)
N (0.8610, 0.3453, 0.0310)
N (0.8610, 0.3453, 0.4690)
N (0.9828, 0.0100, 0.7500)
N (0.9828, 0.4900, 0.2500)

## Properties
**Energy of formation**: -28.649 kcal/mol of atoms
**Space group**: No. 57
**DFT total energy**: -290.6 eV per cell
**Energy with MP2020 corrections**: -6.769 eV/atom